Computed, not measured: an optimized crystal structure of Rb2ZrMo3O12 at the PBE with a Hubbard U level of DFT.

```
Rb2ZrMo3O12
1.0
3.601 9.817 0.000
-3.601 9.817 0.000
0.000 2.952 10.512
Rb Zr Mo O
4 2 6 24
Cartesian
-0.125 19.861 6.665
0.125 18.385 1.409
-0.215 7.758 10.491
0.215 6.281 5.235
0.005 13.057 5.898
-0.005 11.580 0.642
0.668 16.169 7.824
-0.668 14.693 2.568
-0.668 9.911 4.037
0.668 11.387 9.293
2.766 12.359 3.249
-2.766 13.836 8.505
-0.979 16.697 7.555
0.979 15.221 2.300
0.965 14.764 6.660
-0.965 13.288 1.404
-0.188 5.414 8.222
0.188 3.938 2.966
0.802 15.711 9.616
-0.802 14.235 4.361
-1.730 13.544 7.019
1.730 12.068 1.763
-1.912 7.729 7.443
1.912 6.253 2.188
3.429 12.424 8.750
-3.429 10.948 3.494
-0.923 10.742 9.651
0.923 9.266 4.395
-1.791 8.585 4.258
1.791 10.061 9.514
1.726 12.620 4.759
-1.726 14.096 10.014
0.695 11.940 7.532
-0.695 10.464 2.276
0.956 12.778 10.485
-0.956 11.302 5.229
```

Summary:
E (MP2020) = -8.0747 eV/atom
volume = 20.65 Å³ per atom
formation enthalpy at 0 K = -2.3847 eV per atom